(1)
The following is a DFT calculation (PBE-GGA) of an optimized crystal structure of TeMoWSeS2.

Cell: 3.309 3.309 37.714 Å, 90.00 90.00 120.00°
Sites, in units of the cell vectors:
Te1 0.000 0.000 0.000
Te2 0.000 0.000 0.102
Mo1 0.000 0.000 0.487
Mo2 0.000 0.000 0.863
W1 0.333 0.667 0.051
W2 0.333 0.667 0.675
Se1 0.333 0.667 0.819
Se2 0.333 0.667 0.907
S1 0.000 0.000 0.635
S2 0.000 0.000 0.716
S3 0.333 0.667 0.447
S4 0.333 0.667 0.528



(2)
The following is a DFT calculation (PBE-GGA) of an optimized crystal structure of TeMoWSeS2.

Cell: 3.306 3.306 44.776 Å, 90.00 90.00 120.00°
Sites, in units of the cell vectors:
Te1 0.000 0.000 0.000
Te2 0.000 0.000 0.085
Mo1 0.667 0.333 0.043
Mo2 0.667 0.333 0.664
W1 0.000 0.000 0.231
W2 0.000 0.000 0.848
Se1 0.667 0.333 0.810
Se2 0.667 0.333 0.886
S1 0.000 0.000 0.630
S2 0.000 0.000 0.698
S3 0.667 0.333 0.196
S4 0.667 0.333 0.265



Computed energies relative to the best structure, in kJ/mol of atoms: (1) 2.1; (2) 0.0